VASP calculation (PBE with a Hubbard U) on an optimized crystal structure of Li5V2Co5O12.

Properties
- Formation energy from the elements: -39.5 eV per formula unit
- Electronic total energy: -5.9303 eV/atom
- Corrected total energy (MP2020 scheme): -6.76 eV per atom

Cell lengths 5.053, 9.092, 9.858 Å; angles 90.00, 101.15, 90.00 degrees
Space group C2 (No. 5)
One atom of each set of equivalent atoms:
Li: 0.000 0.000 0.000 (multiplicity 2)
Li: 0.247 0.998 0.752 (multiplicity 4)
Li: 0.249 0.844 0.245 (multiplicity 4)
V: 0.000 0.175 0.500 (multiplicity 2)
V: 0.000 0.663 0.000 (multiplicity 2)
Co: 0.000 0.339 0.000 (multiplicity 2)
Co: 0.000 0.503 0.500 (multiplicity 2)
Co: 0.000 0.844 0.500 (multiplicity 2)
Co: 0.245 0.170 0.246 (multiplicity 4)
O: 0.115 0.516 0.882 (multiplicity 4)
O: 0.118 0.329 0.379 (multiplicity 4)
O: 0.120 0.017 0.378 (multiplicity 4)
O: 0.146 0.829 0.884 (multiplicity 4)
O: 0.147 0.673 0.385 (multiplicity 4)
O: 0.153 0.178 0.885 (multiplicity 4)